This record from Materials Project describes a geometry-optimized Na2La6Nb2Si3S9O48 structure. The functional is PBE.

Properties
Uncorrected energy in eV per atom: -7.13
Magnetization in μB per formula unit: 0.00

Cell: 18.741 9.382 24.750 Å, 89.91 90.17 120.20°
Fractional positions:
Na 0.503 0.013 0.997
O 0.434 0.553 0.033
O 0.823 0.129 0.417
O 0.280 0.855 0.748
O 0.433 0.536 0.414
S 0.659 0.353 0.412
O 0.936 0.336 0.916
La 0.827 0.323 0.486
O 0.062 0.470 0.866
O 0.325 0.114 0.131
O 0.959 0.375 0.629
O 0.500 0.822 0.698
S 0.816 0.963 0.416
Si 0.993 0.703 0.754
La 0.325 0.341 0.680
O 0.574 0.714 0.746
O 0.775 0.867 0.465
S 0.183 0.021 0.578
La 0.668 0.663 0.308
O 0.599 0.202 0.082
Si 0.813 0.666 0.914
O 0.406 0.972 0.402
O 0.239 0.360 0.426
O 0.989 0.180 0.295
O 0.911 0.825 0.197
O 0.252 0.664 0.563
Si 0.495 0.279 0.255
O 0.163 0.457 0.079
O 0.936 0.316 0.533
O 0.989 0.823 0.808
S 0.019 0.357 0.911
O 0.230 0.134 0.918
O 0.606 0.188 0.796
La 0.160 0.672 0.313
O 0.012 0.193 0.902
O 0.928 0.502 0.426
Nb 0.176 0.685 0.514
O 0.563 0.707 0.461
O 0.510 0.832 0.399
O 0.586 0.012 0.604
O 0.066 0.674 0.080
La 0.841 0.334 0.984
O 0.155 0.443 0.763
La 0.342 0.350 0.485
S 0.644 0.010 0.257
S 0.994 0.349 0.578
S 0.498 0.721 0.746
Si 0.682 0.040 0.588
La 0.007 0.986 0.360
O 0.106 0.025 0.295
S 0.492 0.637 0.079
O 0.730 0.326 0.415
La 0.661 0.676 0.523
O 0.278 0.695 0.262
Si 0.312 0.962 0.415
O 0.146 0.854 0.244
O 0.258 0.867 0.076
O 0.206 0.276 0.039
O 0.673 0.877 0.870
O 0.455 0.540 0.129
S 0.862 0.718 0.245
O 0.677 0.498 0.067
O 0.829 0.543 0.631
Si 0.830 0.021 0.082
O 0.232 0.347 0.135
S 0.333 0.032 0.082
O 0.811 0.096 0.136
S 0.167 0.384 0.421
O 0.587 0.499 0.972
O 0.333 0.147 0.425
O 0.001 0.176 0.197
O 0.177 0.856 0.568
O 0.087 0.997 0.197
S 0.481 0.315 0.589
O 0.602 0.993 0.204
O 0.833 0.521 0.926
O 0.430 0.353 0.927
O 0.322 0.517 0.920
O 0.408 0.998 0.699
O 0.102 0.211 0.705
Si 0.021 0.660 0.421
O 0.589 0.957 0.922
O 0.083 0.979 0.902
O 0.174 0.469 0.370
Na 0.340 0.336 0.835
O 0.414 0.810 0.303
O 0.019 0.836 0.425
O 0.489 0.798 0.796
O 0.407 0.012 0.085
O 0.407 0.027 0.797
O 0.994 0.817 0.102
Nb 0.678 0.669 0.013
O 0.272 0.680 0.967
Na 0.340 0.323 0.336
O 0.909 0.526 0.757
La 0.348 0.344 0.189
O 0.852 0.553 0.238
O 0.909 0.792 0.295
O 0.310 0.523 0.635
O 0.099 0.996 0.582
S 0.982 0.649 0.089
O 0.663 0.854 0.577
O 0.564 0.455 0.581
O 0.942 0.538 0.135
O 0.898 0.994 0.706
O 0.858 0.146 0.032
Na 0.841 0.343 0.343
O 0.230 0.089 0.629
O 0.752 0.840 0.064
S 0.360 0.714 0.256
O 0.003 0.811 0.700
O 0.900 0.983 0.414
O 0.576 0.456 0.264
S 0.835 0.636 0.582
La 0.841 0.337 0.684
Si 0.330 0.639 0.582
O 0.090 0.220 0.421
O 0.066 0.427 0.963
O 0.490 0.155 0.308
S 0.860 0.006 0.757
S 0.361 0.009 0.746
O 0.783 0.713 0.245
O 0.342 0.133 0.034
O 0.087 0.672 0.471
S 0.666 0.949 0.921
O 0.769 0.878 0.367
S 0.999 0.276 0.246
O 0.646 0.439 0.745
O 0.915 0.016 0.804
Nb 0.991 0.978 0.853
O 0.268 0.658 0.868
O 0.225 0.131 0.532
O 0.350 0.154 0.741
O 0.857 0.160 0.759
O 0.583 0.183 0.401
O 0.846 0.557 0.534
O 0.560 0.473 0.865
O 0.912 0.999 0.104
O 0.908 0.806 0.584
Nb 0.497 0.988 0.644
O 0.764 0.688 0.969
O 0.758 0.649 0.862
O 0.644 0.418 0.462
O 0.398 0.817 0.916
O 0.061 0.649 0.364
O 0.260 0.871 0.362
S 0.518 0.682 0.410
O 0.076 0.497 0.567
O 0.075 0.434 0.244
O 0.715 0.150 0.533
O 0.174 0.885 0.866
O 0.926 0.295 0.239
S 0.159 0.965 0.913
La 0.505 0.024 0.857
O 0.519 0.199 0.925
O 0.741 0.130 0.639
S 0.141 0.006 0.244
O 0.725 0.298 0.741
O 0.440 0.343 0.634
O 0.075 0.696 0.764
O 0.355 0.567 0.531
Si 0.523 0.379 0.921
O 0.425 0.553 0.741
Na 0.000 0.989 0.499
O 0.410 0.291 0.256
O 0.726 0.320 0.032
O 0.224 0.154 0.238
O 0.502 0.196 0.200
O 0.663 0.846 0.969
La 0.502 0.008 0.150
O 0.588 0.180 0.698
O 0.906 0.843 0.902
O 0.738 0.117 0.927
S 0.315 0.668 0.917
O 0.779 0.860 0.763
Nb 0.491 0.004 0.356
O 0.411 0.824 0.603
O 0.727 0.164 0.256
O 0.004 0.202 0.584
O 0.355 0.551 0.256
La 0.160 0.659 0.018
S 0.177 0.317 0.088
O 0.760 0.648 0.577
S 0.143 0.277 0.757
O 0.145 0.866 0.963
La 0.823 0.306 0.180
O 0.431 0.277 0.539
O 0.671 0.460 0.365
La 0.168 0.675 0.806
O 0.094 0.171 0.803
Nb 0.994 0.001 0.147
O 0.573 0.651 0.069
Na 0.839 0.358 0.830
S 0.642 0.278 0.744
O 0.264 0.841 0.469
O 0.501 0.804 0.084
O 0.490 0.167 0.602
La 0.659 0.647 0.811
O 0.932 0.589 0.039
La 0.334 0.333 0.982
La 0.002 0.995 0.649
O 0.655 0.866 0.262
S 0.684 0.347 0.078
O 0.091 0.168 0.102
O 0.164 0.479 0.469
O 0.226 0.287 0.757
O 0.561 0.657 0.365
O 0.595 0.018 0.302
O 0.730 0.372 0.129
O 0.397 0.801 0.205



This record from Materials Project describes a geometry-optimized Na2La3NbSi2S4O24 structure. The functional is PBE.

Properties
Uncorrected energy in eV per atom: -7.09
Magnetization in μB per formula unit: 0.00

Cell: 9.365 9.375 24.417 Å, 90.79 89.82 120.00°
Fractional positions:
O 0.372 0.862 0.865
O 0.224 0.000 0.303
O 0.129 0.664 0.470
O 0.965 0.812 0.076
S 0.672 0.695 0.254
Si 0.357 0.976 0.919
O 0.511 0.825 0.763
La 0.329 0.674 0.018
La 0.996 0.998 0.145
O 0.019 0.830 0.415
O 0.314 0.507 0.769
O 0.040 0.792 0.702
O 0.365 0.471 0.077
O 0.196 0.224 0.408
O 0.115 0.448 0.966
O 0.669 0.131 0.130
S 0.363 0.039 0.582
O 0.178 0.491 0.266
S 0.677 0.980 0.755
O 0.672 0.150 0.030
O 0.679 0.555 0.532
O 0.511 0.690 0.263
O 0.782 0.978 0.411
O 0.452 0.129 0.632
O 0.992 0.197 0.307
O 0.467 0.321 0.127
S 0.380 0.322 0.078
O 0.194 0.020 0.582
O 0.515 0.851 0.364
O 0.858 0.346 0.253
O 0.212 0.017 0.909
La 0.015 0.001 0.854
Na 0.323 0.646 0.681
O 0.342 0.468 0.463
O 0.324 0.829 0.262
O 0.811 0.808 0.911
O 0.988 0.771 0.800
O 0.852 0.540 0.134
O 0.747 0.791 0.204
O 0.216 0.171 0.074
Na 0.637 0.324 0.839
Nb 0.313 0.656 0.315
O 0.993 0.219 0.903
S 0.675 0.644 0.583
O 0.866 0.388 0.915
O 0.541 0.673 0.975
Na 0.002 0.969 0.498
O 0.344 0.491 0.363
O 0.497 0.363 0.751
S 0.678 0.055 0.078
O 0.497 0.634 0.867
O 0.885 0.524 0.746
S 0.963 0.324 0.584
Nb 0.348 0.669 0.826
Na 0.996 0.953 0.997
Na 0.711 0.346 0.329
Si 0.035 0.667 0.414
O 0.670 0.549 0.632
Na 0.292 0.650 0.156
O 0.859 0.494 0.408
La 0.656 0.337 0.690
O 0.130 0.639 0.082
O 0.205 0.949 0.204
O 0.180 0.694 0.760
O 0.977 0.172 0.584
O 0.784 0.006 0.802
O 0.537 0.155 0.927
O 0.620 0.115 0.410
O 0.205 0.255 0.696
O 0.477 0.319 0.027
O 0.826 0.809 0.585
O 0.495 0.376 0.406
O 0.874 0.323 0.534
Si 0.953 0.631 0.080
O 0.536 0.869 0.464
O 0.032 0.221 0.197
O 0.320 0.867 0.972
S 0.023 0.697 0.752
O 0.131 0.472 0.586
O 0.348 0.873 0.584
O 0.636 0.482 0.927
Si 0.306 0.326 0.755
O 0.157 0.666 0.361
La 0.997 0.996 0.350
O 0.208 0.198 0.803
O 0.835 0.050 0.075
O 0.780 0.770 0.302
O 0.453 0.128 0.532
Si 0.630 0.661 0.922
O 0.536 0.884 0.078
La 0.687 0.344 0.187
La 0.017 0.022 0.660
S 0.305 0.982 0.254
O 0.636 0.522 0.249
O 0.873 0.328 0.634
Nb 0.667 0.346 0.977
La 0.321 0.666 0.519
O 0.129 0.500 0.867
La 0.682 0.348 0.474
S 0.343 0.387 0.410
S 0.026 0.386 0.914
Si 0.003 0.299 0.253
S 0.613 0.953 0.412
O 0.648 0.122 0.750
O 0.473 0.124 0.250
O 0.524 0.659 0.584
O 0.834 0.509 0.024
O 0.746 0.954 0.703



Q: Among the records above, which one has the highest uncorrected energy?
A: Na2La3NbSi2S4O24



What did the second record say?
This record from Materials Project describes a geometry-optimized Na2La3NbSi2S4O24 structure. The functional is PBE.

Properties
Uncorrected energy in eV per atom: -7.09
Magnetization in μB per formula unit: 0.00

Cell: 9.365 9.375 24.417 Å, 90.79 89.82 120.00°
Fractional positions:
O 0.372 0.862 0.865
O 0.224 0.000 0.303
O 0.129 0.664 0.470
O 0.965 0.812 0.076
S 0.672 0.695 0.254
Si 0.357 0.976 0.919
O 0.511 0.825 0.763
La 0.329 0.674 0.018
La 0.996 0.998 0.145
O 0.019 0.830 0.415
O 0.314 0.507 0.769
O 0.040 0.792 0.702
O 0.365 0.471 0.077
O 0.196 0.224 0.408
O 0.115 0.448 0.966
O 0.669 0.131 0.130
S 0.363 0.039 0.582
O 0.178 0.491 0.266
S 0.677 0.980 0.755
O 0.672 0.150 0.030
O 0.679 0.555 0.532
O 0.511 0.690 0.263
O 0.782 0.978 0.411
O 0.452 0.129 0.632
O 0.992 0.197 0.307
O 0.467 0.321 0.127
S 0.380 0.322 0.078
O 0.194 0.020 0.582
O 0.515 0.851 0.364
O 0.858 0.346 0.253
O 0.212 0.017 0.909
La 0.015 0.001 0.854
Na 0.323 0.646 0.681
O 0.342 0.468 0.463
O 0.324 0.829 0.262
O 0.811 0.808 0.911
O 0.988 0.771 0.800
O 0.852 0.540 0.134
O 0.747 0.791 0.204
O 0.216 0.171 0.074
Na 0.637 0.324 0.839
Nb 0.313 0.656 0.315
O 0.993 0.219 0.903
S 0.675 0.644 0.583
O 0.866 0.388 0.915
O 0.541 0.673 0.975
Na 0.002 0.969 0.498
O 0.344 0.491 0.363
O 0.497 0.363 0.751
S 0.678 0.055 0.078
O 0.497 0.634 0.867
O 0.885 0.524 0.746
S 0.963 0.324 0.584
Nb 0.348 0.669 0.826
Na 0.996 0.953 0.997
Na 0.711 0.346 0.329
Si 0.035 0.667 0.414
O 0.670 0.549 0.632
Na 0.292 0.650 0.156
O 0.859 0.494 0.408
La 0.656 0.337 0.690
O 0.130 0.639 0.082
O 0.205 0.949 0.204
O 0.180 0.694 0.760
O 0.977 0.172 0.584
O 0.784 0.006 0.802
O 0.537 0.155 0.927
O 0.620 0.115 0.410
O 0.205 0.255 0.696
O 0.477 0.319 0.027
O 0.826 0.809 0.585
O 0.495 0.376 0.406
O 0.874 0.323 0.534
Si 0.953 0.631 0.080
O 0.536 0.869 0.464
O 0.032 0.221 0.197
O 0.320 0.867 0.972
S 0.023 0.697 0.752
O 0.131 0.472 0.586
O 0.348 0.873 0.584
O 0.636 0.482 0.927
Si 0.306 0.326 0.755
O 0.157 0.666 0.361
La 0.997 0.996 0.350
O 0.208 0.198 0.803
O 0.835 0.050 0.075
O 0.780 0.770 0.302
O 0.453 0.128 0.532
Si 0.630 0.661 0.922
O 0.536 0.884 0.078
La 0.687 0.344 0.187
La 0.017 0.022 0.660
S 0.305 0.982 0.254
O 0.636 0.522 0.249
O 0.873 0.328 0.634
Nb 0.667 0.346 0.977
La 0.321 0.666 0.519
O 0.129 0.500 0.867
La 0.682 0.348 0.474
S 0.343 0.387 0.410
S 0.026 0.386 0.914
Si 0.003 0.299 0.253
S 0.613 0.953 0.412
O 0.648 0.122 0.750
O 0.473 0.124 0.250
O 0.524 0.659 0.584
O 0.834 0.509 0.024
O 0.746 0.954 0.703